MgZn4Se8O20: relaxed, GGA-PBE.

```
33
Lattice="-1.061 -5.004 3.733 6.488 -1.869 -1.099 3.177 6.624 8.161" Properties=species:S:1:pos:R:3 pbc="T T T"
O 3.037 -3.837 2.632
O 4.676 -5.906 3.058
Zn 4.060 -2.209 5.681
O 1.034 -0.316 7.927
O 0.854 -2.280 2.367
O 4.759 -3.821 4.714
Se 6.240 2.284 8.011
Se 2.530 1.674 7.059
O 1.893 0.401 2.022
O 6.128 4.149 7.848
O 6.331 1.689 6.418
O 6.547 -0.367 8.619
O 5.167 -0.788 4.524
O 3.655 2.611 6.093
Se 2.479 -2.061 2.808
Se 1.916 1.933 2.689
O 3.718 5.616 7.447
O 3.514 2.053 3.371
Zn 8.378 0.460 9.179
Se 6.501 -2.045 8.216
Zn 4.801 1.017 5.313
Se 4.214 0.214 10.343
O 3.133 1.924 8.655
Se 3.637 -4.908 4.004
O 5.573 -1.723 2.005
Se 6.348 -1.623 3.499
O 7.517 -0.249 3.295
O 7.932 2.342 8.402
O 4.821 -2.173 7.563
Mg 2.921 -1.198 8.206
Zn -0.094 -0.870 1.262
O 3.384 0.160 6.683
O 2.365 -1.943 4.524
```

Values from the calculation:
Energy of formation from the pure elements in eV per atom: -1.401
Space group: No. 1
Calculated total energy in eV per atom: -5.03
Total magnetic moment in μB/cell: 0.0